1.
DFT (PBE+U) results for a relaxed structure of V4Cu3O12.

The space group is Im-3 (No. 204) and the conventional cell measures 7.285, 7.285 and 7.285 Å, with angles of 90.00, 90.00 and 90.00 degrees. The inequivalent atoms are V at (0.250, 0.250, 0.250), Cu at (0.000, 0.000, 0.500) and O at (0.000, 0.307, 0.186).

For the energy relative to the elements, the calculation gives -1861 meV per atom. For the total energy, the calculation gives -6.75 eV/atom. For the total energy after the MP2020 corrections, the calculation gives -286.72 eV/cell. Its total magnetization is 1.69 μB/f.u.


2.
DFT (PBE+U) results for a relaxed structure of LiMn2P3O10.

The space group is C2/c (No. 15) and the conventional cell measures 14.137, 8.695 and 9.106 Å, with angles of 90.00, 123.03 and 90.00 degrees. The inequivalent atoms are Li at (0.000, 0.089, 0.250), Mn at (0.230, 0.022, 0.046), P at (0.000, 0.420, 0.750), P at (0.128, 0.197, 0.684), O at (0.018, 0.306, 0.627), O at (0.106, 0.490, 0.370), O at (0.112, 0.144, 0.511), O at (0.120, 0.060, 0.783) and O at (0.235, 0.292, 0.798).

For the energy relative to the elements, the calculation gives -2578 meV per atom. For the total energy, the calculation gives -7.31 eV/atom. For the total energy after the MP2020 corrections, the calculation gives -508.80 eV/cell. For the energy above the lowest structure with this stoichiometry, the calculation gives 67.9 kJ/mol of formula units. Its total magnetization is 10.00 μB/f.u.


Q: What is the energy relative to the elements in the second record?
A: -2578 meV per atom


Q: Which formula does entry 1 have?
A: V4Cu3O12


Q: The highest total energy belongs to which entry?
A: V4Cu3O12